{
  "formula": "NdSi2Ni2",
  "functional": "r²SCAN",
  "state": "optimized geometry",
  "cell": [[4.042, 0.000, 0.000], [0.000, 4.042, 0.000], [0.000, 0.000, 9.559]],
  "species": ["Nd", "Nd", "Si", "Si", "Si", "Si", "Ni", "Ni", "Ni", "Ni"],
  "frac_coords": [[0.000, 0.000, 0.000], [0.500, 0.500, 0.500], [0.000, 0.000, 0.368], [0.000, 0.000, 0.632], [0.500, 0.500, 0.132], [0.500, 0.500, 0.868], [0.000, 0.500, 0.250], [0.000, 0.500, 0.750], [0.500, 0.000, 0.250], [0.500, 0.000, 0.750]],
  "total_magnetization_mub_per_atom": 0.000,
  "crystal_system": "tetragonal",
  "spacegroup": "No. 139",
  "final_energy_ha_per_atom": -0.5514
}